# Li2MnV3O8 | the Materials Project database | PBE with a Hubbard U | relaxed
data_Li2MnV3O8
_chemical_formula_sum 'Li6 Mn3 V9 O24'
_space_group_name_H-M_alt 'R 3'
_space_group_IT_number 146
_space_group_name_Hall 'R 3'
_cell_length_a 5.9688
_cell_length_b 5.9688
_cell_length_c 14.8486
_cell_angle_alpha 90.00
_cell_angle_beta 90.00
_cell_angle_gamma 120.00
loop_
_atom_site_label
_atom_site_type_symbol
_atom_site_fract_x
_atom_site_fract_y
_atom_site_fract_z
Li1 Li 0.0000 0.0000 0.0000
Li2 Li 0.0000 0.0000 0.3803
Mn1 Mn 0.0000 0.0000 0.7583
V1 V 0.0056 0.4962 0.8800
O1 O 0.0000 0.0000 0.1386
O2 O 0.0000 0.0000 0.6185
O3 O 0.0326 0.5298 0.1422
O4 O 0.1653 0.3617 0.9489
# - DFT formation energy (eV/atom) = -2.43
# - DFT total energy (hartree per atom) = -0.2665
# - energy above the lowest structure with this stoichiometry (eV/atom) = 0.010
# - E (MP2020) (eV per cell) = -341.41